Record 1
# LiSmGe

LiSmGe after structural relaxation (meta-GGA r2SCAN, the Materials Project database).

Geometry as extended XYZ:
```
9
Lattice="7.204 0.000 0.000 -3.602 6.239 0.000 0.000 0.000 4.309" Properties=species:S:1:pos:R:3 pbc="T T T"
Li 2.766 4.791 2.154
Li -0.836 1.448 2.154
Li 1.672 0.000 2.154
Ge 3.602 2.080 2.154
Ge 0.000 0.000 0.000
Ge 0.000 4.159 2.154
Sm 1.515 2.623 0.000
Sm -2.088 3.616 0.000
Sm 4.175 0.000 0.000
```

- energy (eV/atom) = -16.136

***

Record 2
# ErCuSe2

ErCuSe2 after structural relaxation (meta-GGA r2SCAN, the Materials Project database).

Geometry as extended XYZ:
```
4
Lattice="4.052 0.000 0.000 -2.026 3.509 0.000 0.000 0.000 6.366" Properties=species:S:1:pos:R:3 pbc="T T T"
Se 0.000 2.339 4.832
Se 2.026 1.170 1.613
Cu 2.026 1.170 5.550
Er 0.000 0.000 3.105
```

- energy (eV/atom) = -19.755

***

Record 3
# Tm2OsAu

Tm2OsAu after structural relaxation (meta-GGA r2SCAN, the Materials Project database).

Geometry as extended XYZ:
```
4
Lattice="0.000 3.424 3.424 3.424 0.000 3.424 3.424 3.424 0.000" Properties=species:S:1:pos:R:3 pbc="T T T"
Tm 0.000 0.000 0.000
Tm 3.424 3.424 3.424
Au 1.712 1.712 1.712
Os 5.135 5.135 5.135
```

- energy (eV/atom) = -44.089

***

Number 2 is which compound?
ErCuSe2

***

Among the records above, which one has the lowest energy?
Tm2OsAu

***

Which formula does entry 3 have?
Tm2OsAu